# 1
A geometry-optimized Sn2P3Cl24 structure, computed with GGA-PBE.

a b c (Å): 15.670 15.670 14.743
angles (deg): 90.00 90.00 90.00
Space group P4_2/mbc (No. 135)
Symmetry-distinct sites (fractional):
Sn (0.125, 0.257, 0.000) x8
P (0.000, 0.000, 0.250) x4
P (0.127, 0.627, 0.250) x8
Cl (0.001, 0.839, 0.000) x8
Cl (0.006, 0.101, 0.328) x16
Cl (0.024, 0.627, 0.326) x16
Cl (0.031, 0.384, 0.000) x8
Cl (0.125, 0.257, 0.167) x16
Cl (0.127, 0.728, 0.172) x16
Cl (0.130, 0.781, 0.500) x8
Cl (0.146, 0.250, 0.500) x8

Values from the calculation:
crystal system = tetragonal
formation energy from the elements = -115 kJ per mole of atoms
magnetization = 0.99 μB per formula unit
E (MP2020) = -3.55 eV per atom
final energy = -353.41 eV/cell



# 2
A geometry-optimized Sr2P7Cl structure, computed with GGA-PBE.

a b c (Å): 14.786 12.365 22.584
angles (deg): 90.00 103.78 90.00
Space group C2/c (No. 15)
Symmetry-distinct sites (fractional):
Sr (0.000, 0.142, 0.250) x4
Sr (0.000, 0.281, 0.750) x4
Sr (0.087, 0.200, 0.947) x8
Sr (0.155, 0.489, 0.606) x8
Sr (0.228, 0.492, 0.388) x8
P (0.016, 0.303, 0.082) x8
P (0.053, 0.053, 0.443) x8
P (0.074, 0.308, 0.510) x8
P (0.076, 0.140, 0.087) x8
P (0.088, 0.288, 0.363) x8
P (0.113, 0.134, 0.669) x8
P (0.153, 0.163, 0.507) x8
P (0.156, 0.129, 0.827) x8
P (0.161, 0.149, 0.409) x8
P (0.167, 0.029, 0.748) x8
P (0.169, 0.289, 0.241) x8
P (0.182, 0.463, 0.245) x8
P (0.198, 0.274, 0.699) x8
P (0.226, 0.272, 0.807) x8
Cl (0.036, 0.404, 0.865) x8
Cl (0.215, 0.389, 0.003) x8

Values from the calculation:
crystal system = monoclinic
formation energy from the elements = -81 kJ per mole of atoms
magnetization = 0.00 μB per formula unit
E (MP2020) = -5.15 eV per atom
final energy = -814.03 eV/cell